Sb8Cl2O15: relaxed, PBE-GGA.

Unit cell a=8.7575 b=8.7575 c=8.2597 alpha=76.57 beta=76.57 gamma=115.04
With the nearest neighbours (Å) after each atom.
Fractional positions:
Sb1 0.9033 0.5379 0.8878  5 O 1.94-2.05
Sb2 0.9742 0.6848 0.3175  2 O 1.95-2.10
Sb3 0.6253 0.9528 0.3797  3 O 1.93-2.13
Sb4 0.6225 0.9378 0.8437  2 O 1.92-2.14
Sb5 0.4621 0.0967 0.1122  5 O 1.94-2.05
Sb6 0.3152 0.0258 0.6825  2 O 1.95-2.10
Sb7 0.0472 0.3747 0.6203  3 O 1.93-2.13
Sb8 0.0622 0.3775 0.1563  2 O 1.92-2.14
Cl1 0.9934 0.0066 0.5000  4 O 3.23-3.43, 6 Sb 3.45-3.50
Cl2 0.0138 0.9862 0.0000  2 Sb 3.09, 6 O 3.28-3.45
O1 0.1308 0.7708 0.7657  2 Sb 1.95
O2 0.2292 0.8692 0.2343  2 Sb 1.95
O3 0.7963 0.1894 0.6970  2 Sb 1.92-1.93
O4 0.8106 0.2037 0.3030  2 Sb 1.92-1.93
O5 0.0035 0.3777 0.9083  1 Sb 1.94
O6 0.0681 0.5000 0.3561  3 Sb 2.10-2.17
O7 0.4456 0.0470 0.8872  3 Sb 2.03-2.25
O8 0.4610 0.0675 0.3588  2 Sb 1.99-2.09
O9 0.5000 0.9319 0.6439  3 Sb 2.10-2.17
O10 0.6223 0.9965 0.0917  1 Sb 1.94
O11 0.9325 0.5390 0.6412  2 Sb 1.99-2.09
O12 0.9530 0.5544 0.1128  3 Sb 2.03-2.25
O13 0.4638 0.5362 0.5000  1 O 1.25
O14 0.5482 0.4518 0.5000  1 O 1.25
O15 0.6258 0.3742 0.0000  2 Sb 2.05

Computed properties:
Crystal system ... monoclinic
Space-group type ... C2
Formation energy ... -1124 meV per atom

YSb3Se2ClO8: relaxed, PBE-GGA.

Unit cell a=7.5545 b=7.7136 c=9.6194 alpha=90.00 beta=90.00 gamma=90.00
With the nearest neighbours (Å) after each atom.
Fractional positions:
Y1 0.0000 0.1691 0.0000  4 O 2.25-2.27
Y2 0.5000 0.8309 0.5000  4 O 2.25-2.27
Sb1 0.2500 0.5000 0.7500  4 O 2.28-2.39
Sb2 0.2500 0.5000 0.2500  4 O 2.28-2.39
Sb3 0.7500 0.5000 0.7500  4 O 2.28-2.39
Sb4 0.5000 0.3715 0.5000  2 O 2.24
Sb5 0.0000 0.6285 0.0000  2 O 2.24
Sb6 0.7500 0.5000 0.2500  4 O 2.28-2.39
Se1 0.5000 0.0875 0.8238  3 O 1.74
Se2 0.0000 0.9125 0.6762  3 O 1.74
Se3 0.5000 0.0875 0.1762  3 O 1.74
Se4 0.0000 0.9125 0.3238  3 O 1.74
Cl1 0.0000 0.4167 0.5000  4 Sb 3.12, 6 O 3.42-3.46
Cl2 0.5000 0.5833 0.0000  4 Sb 3.12, 6 O 3.42-3.46
O1 0.0000 0.4005 0.8550  3 Sb 2.24-2.28, 1 Y 2.27
O2 0.0000 0.9403 0.8556  1 Se 1.74
O3 0.5000 0.0597 0.3556  1 Se 1.74
O4 0.3161 0.2205 0.8452  1 Se 1.74
O5 0.1839 0.7795 0.3452  1 Se 1.74
O6 0.8161 0.7795 0.3452  1 Se 1.74
O7 0.5000 0.5995 0.6450  3 Sb 2.24-2.28, 1 Y 2.27
O8 0.6839 0.2205 0.8452  1 Se 1.74
O9 0.6839 0.2205 0.1548  1 Se 1.74
O10 0.8161 0.7795 0.6548  1 Se 1.74
O11 0.0000 0.4005 0.1450  3 Sb 2.24-2.28, 1 Y 2.27
O12 0.5000 0.5995 0.3550  3 Sb 2.24-2.28, 1 Y 2.27
O13 0.1839 0.7795 0.6548  1 Se 1.74
O14 0.3161 0.2205 0.1548  1 Se 1.74
O15 0.5000 0.0597 0.6444  1 Se 1.74
O16 0.0000 0.9403 0.1444  1 Se 1.74

Computed properties:
Crystal system ... orthorhombic
Space-group type ... Pmmn
Formation energy ... -1522 meV per atom

SbTeClO3: relaxed, PBE-GGA.

Unit cell a=5.5118 b=7.2771 c=11.6744 alpha=90.00 beta=90.00 gamma=90.00
With the nearest neighbours (Å) after each atom.
Fractional positions:
Sb1 0.2500 0.9175 0.7575  3 O 2.03-2.07
Sb2 0.7500 0.0825 0.2425  3 O 2.03-2.07
Sb3 0.7500 0.4175 0.7425  3 O 2.03-2.07
Sb4 0.2500 0.5825 0.2575  3 O 2.03-2.07
Te1 0.7500 0.8197 0.9242  3 O 1.92-1.93
Te2 0.7500 0.6803 0.4242  3 O 1.92-1.93
Te3 0.2500 0.1803 0.0758  3 O 1.92-1.93
Te4 0.2500 0.3197 0.5758  3 O 1.92-1.93
Cl1 0.7500 0.1041 0.5773  1 Sb 2.99, 2 Te 3.17, 4 O 3.20-3.29
Cl2 0.2500 0.8959 0.4227  1 Sb 2.99, 2 Te 3.17, 4 O 3.20-3.29
Cl3 0.2500 0.6041 0.9227  1 Sb 2.99, 2 Te 3.17, 4 O 3.20-3.29
Cl4 0.7500 0.3959 0.0773  1 Sb 2.99, 2 Te 3.17, 4 O 3.20-3.29
O1 0.9953 0.9918 0.8742  1 Te 1.93, 1 Sb 2.03
O2 0.0047 0.0082 0.1258  1 Te 1.93, 1 Sb 2.03
O3 0.7500 0.8046 0.2794  1 Te 1.92, 1 Sb 2.07
O4 0.4953 0.4918 0.6258  1 Te 1.93, 1 Sb 2.03
O5 0.9953 0.5082 0.3742  1 Te 1.93, 1 Sb 2.03
O6 0.5047 0.5082 0.3742  1 Te 1.93, 1 Sb 2.03
O7 0.7500 0.6954 0.7794  1 Te 1.92, 1 Sb 2.07
O8 0.4953 0.0082 0.1258  1 Te 1.93, 1 Sb 2.03
O9 0.5047 0.9918 0.8742  1 Te 1.93, 1 Sb 2.03
O10 0.2500 0.1954 0.7206  1 Te 1.92, 1 Sb 2.07
O11 0.0047 0.4918 0.6258  1 Te 1.93, 1 Sb 2.03
O12 0.2500 0.3046 0.2206  1 Te 1.92, 1 Sb 2.07

Computed properties:
Crystal system ... orthorhombic
Space-group type ... Pnma
Formation energy ... -1452 meV per atom